1.
This record from the Materials Project describes a geometry-optimized Li2NiP2O7 structure. The functional is GGA+U.

a = 14.4653 Å, b = 5.5760 Å, c = 7.9013 Å
α = 90.00°, β = 117.67°, γ = 90.00°
Space group C2/c (No. 15)
One atom of each set of equivalent atoms:
Li (0.2184, 0.1537, 0.3057) [8 per cell]
Ni (0.0000, 0.0000, 0.0000) [4 per cell]
P (0.1117, 0.3570, 0.8579) [8 per cell]
O (0.0000, 0.4969, 0.7500) [4 per cell]
O (0.1092, 0.2258, 0.0281) [8 per cell]
O (0.1167, 0.1763, 0.7137) [8 per cell]
O (0.1948, 0.4532, 0.4198) [8 per cell]

Calculated values
ΔE to the lowest computed polymorph = 51 meV per atom
ΔH_f (0 K) = -2.4573 eV/atom
raw total energy = -6.433 eV/atom
magnetization = 8.00 μB per cell

2.
This record from the Materials Project describes a geometry-optimized LiNi2P2O8 structure. The functional is GGA+U.

a = 8.4375 Å, b = 5.0532 Å, c = 16.6029 Å
α = 90.00°, β = 99.34°, γ = 90.00°
Space group Pc (No. 7)
One atom of each set of equivalent atoms:
Li (0.0000, 0.1671, 0.0000) [2 per cell]
Li (0.3970, 0.3296, 0.7425) [2 per cell]
Ni (0.2639, 0.3078, 0.3760) [2 per cell]
Ni (0.3618, 0.1764, 0.1210) [2 per cell]
Ni (0.7530, 0.3313, 0.8698) [2 per cell]
Ni (0.8596, 0.1909, 0.6302) [2 per cell]
P (0.0744, 0.1932, 0.8121) [2 per cell]
P (0.1780, 0.3180, 0.5617) [2 per cell]
P (0.5692, 0.1802, 0.3062) [2 per cell]
P (0.6819, 0.3062, 0.0613) [2 per cell]
O (0.0086, 0.1833, 0.5570) [2 per cell]
O (0.1209, 0.1031, 0.3052) [2 per cell]
O (0.1632, 0.3795, 0.0708) [2 per cell]
O (0.2346, 0.2361, 0.4816) [2 per cell]
O (0.2351, 0.3561, 0.8244) [2 per cell]
O (0.2962, 0.1970, 0.6342) [2 per cell]
O (0.4608, 0.2942, 0.2291) [2 per cell]
O (0.4802, 0.2501, 0.3803) [2 per cell]
O (0.5052, 0.2248, 0.0429) [2 per cell]
O (0.5820, 0.1245, 0.7973) [2 per cell]
O (0.6862, 0.3980, 0.5911) [2 per cell]
O (0.7349, 0.3101, 0.3259) [2 per cell]
O (0.7696, 0.2712, 0.9875) [2 per cell]
O (0.7791, 0.1473, 0.1344) [2 per cell]
O (0.9667, 0.2797, 0.7326) [2 per cell]
O (0.9860, 0.2450, 0.8848) [2 per cell]

Calculated values
ΔE to the lowest computed polymorph = 48 meV per atom
ΔH_f (0 K) = -2.1220 eV/atom
raw total energy = -6.222 eV/atom
magnetization = 20.00 μB per cell

3.
This record from the Materials Project describes a geometry-optimized Li3Ni2P3O12 structure. The functional is GGA+U.

a = 8.2248 Å, b = 5.3219 Å, c = 18.8091 Å
α = 90.00°, β = 90.12°, γ = 90.00°
Space group C2/m (No. 12)
One atom of each set of equivalent atoms:
Li (0.9997, 0.0000, 0.1664) [4 per cell]
Li (0.1711, 0.5000, 0.2482) [4 per cell]
Li (0.1723, 0.5000, 0.9163) [4 per cell]
Ni (0.0000, 0.0000, 0.0000) [2 per cell]
Ni (0.0000, 0.0000, 0.5000) [2 per cell]
Ni (0.0006, 0.0000, 0.3342) [4 per cell]
P (0.1438, 0.5000, 0.0811) [4 per cell]
P (0.1453, 0.5000, 0.4164) [4 per cell]
P (0.1452, 0.5000, 0.7479) [4 per cell]
O (0.0300, 0.2652, 0.0801) [8 per cell]
O (0.0321, 0.2646, 0.7464) [8 per cell]
O (0.0363, 0.2604, 0.4170) [8 per cell]
O (0.2423, 0.0000, 0.3173) [4 per cell]
O (0.2436, 0.5000, 0.8181) [4 per cell]
O (0.2453, 0.0000, 0.9850) [4 per cell]
O (0.2454, 0.5000, 0.1503) [4 per cell]
O (0.2461, 0.0000, 0.5163) [4 per cell]
O (0.2489, 0.5000, 0.3472) [4 per cell]

Calculated values
ΔE to the lowest computed polymorph = 13 meV per atom
ΔH_f (0 K) = -2.2606 eV/atom
raw total energy = -6.239 eV/atom
magnetization = 21.37 μB per cell

4.
This record from the Materials Project describes a geometry-optimized LiNiP2O7 structure. The functional is GGA+U.

a = 9.6568 Å, b = 8.2396 Å, c = 13.4766 Å
α = 90.00°, β = 110.38°, γ = 90.00°
Space group C2/c (No. 15)
One atom of each set of equivalent atoms:
Li (0.1282, 0.1084, 0.1537) [8 per cell]
Ni (0.1346, 0.2651, 0.6415) [8 per cell]
P (0.1277, 0.4559, 0.4285) [8 per cell]
P (0.1712, 0.0792, 0.8639) [8 per cell]
O (0.0056, 0.4548, 0.6491) [8 per cell]
O (0.0205, 0.0856, 0.8783) [8 per cell]
O (0.0827, 0.3073, 0.4780) [8 per cell]
O (0.1863, 0.0859, 0.3152) [8 per cell]
O (0.2041, 0.4127, 0.0197) [8 per cell]
O (0.2064, 0.2245, 0.8070) [8 per cell]
O (0.2374, 0.4239, 0.3718) [8 per cell]

Calculated values
ΔE to the lowest computed polymorph = 10 meV per atom
ΔH_f (0 K) = -2.2885 eV/atom
raw total energy = -6.452 eV/atom
magnetization = 24.00 μB per cell

5.
This record from the Materials Project describes a geometry-optimized LiNiP2O7 structure. The functional is GGA+U.

a = 5.1294 Å, b = 6.1299 Å, c = 8.6868 Å
α = 70.65°, β = 88.38°, γ = 86.77°
Space group P-1 (No. 2)
One atom of each set of equivalent atoms:
Li (0.2250, 0.3110, 0.0225) [2 per cell]
Ni (0.2324, 0.9402, 0.7698) [2 per cell]
P (0.2126, 0.3000, 0.3671) [2 per cell]
P (0.3062, 0.7648, 0.1578) [2 per cell]
O (0.0555, 0.6987, 0.7064) [2 per cell]
O (0.1230, 0.9712, 0.1581) [2 per cell]
O (0.2289, 0.1811, 0.5482) [2 per cell]
O (0.2323, 0.6707, 0.0210) [2 per cell]
O (0.2653, 0.5689, 0.3338) [2 per cell]
O (0.4072, 0.1759, 0.8546) [2 per cell]
O (0.4197, 0.2156, 0.2647) [2 per cell]

Calculated values
ΔE to the lowest computed polymorph = 27 meV per atom
ΔH_f (0 K) = -2.2709 eV/atom
raw total energy = -6.435 eV/atom
magnetization = 2.00 μB per cell

6.
This record from the Materials Project describes a geometry-optimized LiNi4P3O12 structure. The functional is GGA+U.

a = 11.6140 Å, b = 12.4450 Å, c = 6.4216 Å
α = 90.00°, β = 115.75°, γ = 90.00°
Space group Cc (No. 9)
One atom of each set of equivalent atoms:
Li (0.0000, 0.0187, 0.0000) [4 per cell]
Ni (0.0071, 0.4920, 0.7257) [4 per cell]
Ni (0.2148, 0.1587, 0.3835) [4 per cell]
Ni (0.2829, 0.3401, 0.1180) [4 per cell]
Ni (0.4967, 0.2374, 0.9963) [4 per cell]
P (0.2276, 0.1082, 0.8794) [4 per cell]
P (0.2690, 0.3940, 0.6209) [4 per cell]
P (0.4986, 0.2018, 0.4980) [4 per cell]
O (0.0389, 0.2270, 0.2161) [4 per cell]
O (0.0972, 0.3776, 0.9751) [4 per cell]
O (0.1209, 0.4127, 0.5527) [4 per cell]
O (0.1550, 0.0005, 0.8516) [4 per cell]
O (0.1609, 0.1682, 0.6444) [4 per cell]
O (0.2182, 0.1776, 0.0705) [4 per cell]
O (0.2752, 0.3232, 0.4291) [4 per cell]
O (0.3343, 0.3332, 0.8543) [4 per cell]
O (0.3435, 0.4996, 0.1484) [4 per cell]
O (0.3748, 0.0948, 0.9441) [4 per cell]
O (0.4025, 0.1188, 0.5166) [4 per cell]
O (0.4572, 0.2742, 0.2818) [4 per cell]

Calculated values
ΔE to the lowest computed polymorph = 21 meV per atom
ΔH_f (0 K) = -2.1524 eV/atom
raw total energy = -6.264 eV/atom
magnetization = 32.00 μB per cell

7.
This record from the Materials Project describes a geometry-optimized LiNiP2O7 structure. The functional is GGA+U.

a = 5.0326 Å, b = 6.8268 Å, c = 8.3918 Å
α = 67.61°, β = 87.90°, γ = 87.74°
Space group P1 (No. 1)
One atom of each set of equivalent atoms:
Li (0.0000, 0.0000, 0.0000) [1 per cell]
Li (0.4933, 0.6503, 0.5641) [1 per cell]
Ni (0.4609, 0.0411, 0.2813) [1 per cell]
Ni (0.9744, 0.6068, 0.8309) [1 per cell]
P (0.4548, 0.9501, 0.7304) [1 per cell]
P (0.4983, 0.2799, 0.8701) [1 per cell]
P (0.9334, 0.3768, 0.2487) [1 per cell]
P (0.9828, 0.7137, 0.3909) [1 per cell]
O (0.0388, 0.5426, 0.0820) [1 per cell]
O (0.1088, 0.1764, 0.3216) [1 per cell]
O (0.1720, 0.8913, 0.8044) [1 per cell]
O (0.2815, 0.7487, 0.3574) [1 per cell]
O (0.3408, 0.4885, 0.7871) [1 per cell]
O (0.3630, 0.1153, 0.0278) [1 per cell]
O (0.4893, 0.9513, 0.5491) [1 per cell]
O (0.5003, 0.1870, 0.7154) [1 per cell]
O (0.6480, 0.3134, 0.2396) [1 per cell]
O (0.6622, 0.8051, 0.8523) [1 per cell]
O (0.7916, 0.3100, 0.8951) [1 per cell]
O (0.8147, 0.8781, 0.2497) [1 per cell]
O (0.8845, 0.6849, 0.5730) [1 per cell]
O (0.9275, 0.4800, 0.3922) [1 per cell]

Calculated values
ΔE to the lowest computed polymorph = 22 meV per atom
ΔH_f (0 K) = -2.2766 eV/atom
raw total energy = -6.440 eV/atom
magnetization = 2.00 μB per cell

8.
This record from the Materials Project describes a geometry-optimized LiNiPO4 structure. The functional is GGA+U.

a = 7.9452 Å, b = 8.9392 Å, c = 4.9098 Å
α = 90.00°, β = 90.00°, γ = 90.00°
Space group Pna2_1 (No. 33)
One atom of each set of equivalent atoms:
Li (0.0513, 0.1139, 0.0000) [4 per cell]
Ni (0.1666, 0.5258, 0.0650) [4 per cell]
P (0.2229, 0.3573, 0.6293) [4 per cell]
O (0.0562, 0.4314, 0.7369) [4 per cell]
O (0.1388, 0.9566, 0.2710) [4 per cell]
O (0.2205, 0.1953, 0.7405) [4 per cell]
O (0.2408, 0.3596, 0.3181) [4 per cell]

Calculated values
ΔE to the lowest computed polymorph = 58 meV per atom
ΔH_f (0 K) = -2.3073 eV/atom
raw total energy = -6.251 eV/atom
magnetization = 0.00 μB per cell

9.
This record from the Materials Project describes a geometry-optimized LiNi4P3O12 structure. The functional is GGA+U.

a = 9.5306 Å, b = 16.1609 Å, c = 6.1374 Å
α = 90.00°, β = 90.00°, γ = 90.00°
Space group Pnnm (No. 58)
One atom of each set of equivalent atoms:
Li (0.2489, 0.0477, 0.0000) [4 per cell]
Ni (0.0067, 0.6407, 0.0000) [4 per cell]
Ni (0.0389, 0.0921, 0.5000) [4 per cell]
Ni (0.2453, 0.7990, 0.2487) [8 per cell]
P (0.0433, 0.7178, 0.5000) [4 per cell]
P (0.0501, 0.1604, 0.0000) [4 per cell]
P (0.2079, 0.4663, 0.0000) [4 per cell]
O (0.1015, 0.8111, 0.5000) [4 per cell]
O (0.1039, 0.1118, 0.1978) [8 per cell]
O (0.1062, 0.6815, 0.2893) [8 per cell]
O (0.1124, 0.8307, 0.0000) [4 per cell]
O (0.1182, 0.2516, 0.0000) [4 per cell]
O (0.1191, 0.2776, 0.5000) [4 per cell]
O (0.1308, 0.9797, 0.5000) [4 per cell]
O (0.1402, 0.5501, 0.0000) [4 per cell]
O (0.1626, 0.4127, 0.2029) [8 per cell]

Calculated values
ΔE to the lowest computed polymorph = 22 meV per atom
ΔH_f (0 K) = -2.1515 eV/atom
raw total energy = -6.263 eV/atom
magnetization = 32.00 μB per cell

10.
This record from the Materials Project describes a geometry-optimized Li3NiP2O8 structure. The functional is GGA+U.

a = 8.2708 Å, b = 5.4240 Å, c = 6.2440 Å
α = 90.00°, β = 90.11°, γ = 90.00°
Space group C2/m (No. 12)
One atom of each set of equivalent atoms:
Li (0.0000, 0.0000, 0.0000) [2 per cell]
Li (0.1732, 0.5000, 0.7667) [4 per cell]
Ni (0.0000, 0.0000, 0.5000) [2 per cell]
P (0.1443, 0.5000, 0.2638) [4 per cell]
O (0.0307, 0.2689, 0.2620) [8 per cell]
O (0.2474, 0.0000, 0.5333) [4 per cell]
O (0.2504, 0.0000, 0.9387) [4 per cell]

Calculated values
ΔE to the lowest computed polymorph = 0 meV per atom
ΔH_f (0 K) = -2.3958 eV/atom
raw total energy = -6.244 eV/atom
magnetization = 3.83 μB per cell

Please write out number 10 again, unchanged.
This record from the Materials Project describes a geometry-optimized Li3NiP2O8 structure. The functional is GGA+U.

a = 8.2708 Å, b = 5.4240 Å, c = 6.2440 Å
α = 90.00°, β = 90.11°, γ = 90.00°
Space group C2/m (No. 12)
One atom of each set of equivalent atoms:
Li (0.0000, 0.0000, 0.0000) [2 per cell]
Li (0.1732, 0.5000, 0.7667) [4 per cell]
Ni (0.0000, 0.0000, 0.5000) [2 per cell]
P (0.1443, 0.5000, 0.2638) [4 per cell]
O (0.0307, 0.2689, 0.2620) [8 per cell]
O (0.2474, 0.0000, 0.5333) [4 per cell]
O (0.2504, 0.0000, 0.9387) [4 per cell]

Calculated values
ΔE to the lowest computed polymorph = 0 meV per atom
ΔH_f (0 K) = -2.3958 eV/atom
raw total energy = -6.244 eV/atom
magnetization = 3.83 μB per cell